1.
DFT (GGA-PBE) results for KZrGeBiO6 after structural relaxation.

Its formation energy is -2.352 eV/atom.

The structure belongs to space group F-43m (No. 216); the cell edges are 7.992, 7.992 and 7.992 Å and the angles 90.00°, 90.00° and 90.00°. Symmetry generates all atoms from K at (0.000, 0.000, 0.000), Zr at (0.250, 0.250, 0.750), Ge at (0.250, 0.250, 0.250), Bi at (0.000, 0.000, 0.500) and O at (0.012, 0.250, 0.250).

2.
DFT (GGA-PBE) results for KGeBiS4 after structural relaxation.

Its formation energy is -0.911 eV/atom.

The structure belongs to space group P2_1/c (No. 14); the cell edges are 6.651, 6.807 and 17.385 Å and the angles 90.00°, 108.04° and 90.00°. Symmetry generates all atoms from K at (0.219, 0.241, 0.464), Ge at (0.294, 0.740, 0.844), Bi at (0.260, 0.205, 0.218), S at (0.084, 0.679, 0.717), S at (0.084, 0.746, 0.422), S at (0.475, 0.504, 0.132) and S at (0.499, 0.005, 0.860).

3.
DFT (GGA-PBE) results for Mg3Ge3Bi2O12 after structural relaxation.

Its formation energy is -2.140 eV/atom.

The structure belongs to space group Ia-3d (No. 230); the cell edges are 12.796, 12.796 and 12.796 Å and the angles 90.00°, 90.00° and 90.00°. Symmetry generates all atoms from Mg at (0.000, 0.250, 0.125), Ge at (0.000, 0.250, 0.375), Bi at (0.000, 0.000, 0.000) and O at (0.032, 0.064, 0.667).

4.
DFT (GGA-PBE) results for GeBi2O5 after structural relaxation.

Its formation energy is -1.839 eV/atom.

The structure belongs to space group Pnma (No. 62); the cell edges are 11.086, 3.971 and 11.197 Å and the angles 90.00°, 90.00° and 90.00°. Symmetry generates all atoms from Ge at (0.202, 0.250, 0.136), Bi at (0.082, 0.250, 0.781), Bi at (0.141, 0.250, 0.451), O at (0.004, 0.250, 0.601), O at (0.050, 0.250, 0.179), O at (0.197, 0.750, 0.764), O at (0.241, 0.750, 0.128) and O at (0.247, 0.250, 0.980).

5.
DFT (GGA-PBE) results for Ge2BiO6 after structural relaxation.

As for the energy relative to the lowest polymorph listed for this composition: 25 meV per atom. Its formation energy is -1.801 eV/atom.

The structure belongs to space group P2_1/c (No. 14); the cell edges are 10.704, 9.635 and 5.706 Å and the angles 90.00°, 103.38° and 90.00°. Symmetry generates all atoms from Ge at (0.025, 0.168, 0.156), Ge at (0.452, 0.178, 0.269), Bi at (0.260, 0.624, 0.763), O at (0.079, 0.506, 0.705), O at (0.091, 0.249, 0.437), O at (0.148, 0.695, 0.403), O at (0.375, 0.695, 0.144), O at (0.392, 0.018, 0.148) and O at (0.400, 0.194, 0.543).

6.
DFT (GGA-PBE) results for Ge2BiO6 after structural relaxation.

As for the energy relative to the lowest polymorph listed for this composition: 0 meV per atom. Its formation energy is -1.825 eV/atom.

The structure belongs to space group C2/c (No. 15); the cell edges are 10.553, 9.692 and 5.743 Å and the angles 90.00°, 108.43° and 90.00°. Symmetry generates all atoms from Ge at (0.203, 0.079, 0.250), Bi at (0.000, 0.376, 0.250), O at (0.117, 0.439, 0.639), O at (0.139, 0.028, 0.489) and O at (0.156, 0.251, 0.184).

7.
DFT (GGA-PBE) results for GeBiO3 after structural relaxation.

Its formation energy is -1.446 eV/atom.

The structure belongs to space group Pm-3m (No. 221); the cell edges are 3.948, 3.948 and 3.948 Å and the angles 90.00°, 90.00° and 90.00°. Symmetry generates all atoms from Ge at (0.000, 0.000, 0.000), Bi at (0.500, 0.500, 0.500) and O at (0.000, 0.000, 0.500).

8.
DFT (GGA-PBE) results for YGeBiO5 after structural relaxation.

Its formation energy is -2.637 eV/atom.

The structure belongs to space group Pbca (No. 61); the cell edges are 5.411, 15.431 and 11.200 Å and the angles 90.00°, 90.00° and 90.00°. Symmetry generates all atoms from Y at (0.008, 0.053, 0.141), Ge at (0.009, 0.097, 0.596), Bi at (0.044, 0.738, 0.148), O at (0.064, 0.198, 0.670), O at (0.138, 0.521, 0.811), O at (0.186, 0.626, 0.026), O at (0.194, 0.564, 0.543) and O at (0.248, 0.151, 0.265).

9.
DFT (GGA-PBE) results for Zn3Ge3Bi2O12 after structural relaxation.

Its formation energy is -1.695 eV/atom.

The structure belongs to space group Ia-3d (No. 230); the cell edges are 12.794, 12.794 and 12.794 Å and the angles 90.00°, 90.00° and 90.00°. Symmetry generates all atoms from Zn at (0.000, 0.250, 0.125), Ge at (0.000, 0.250, 0.375), Bi at (0.000, 0.000, 0.000) and O at (0.031, 0.063, 0.667).

10.
DFT (GGA-PBE) results for Ge2Bi2Te5 after structural relaxation.

Its formation energy is -0.386 eV/atom.

The structure belongs to space group R3m (No. 160, hexagonal axes); the cell edges are 4.3234, 4.3234 and 57.1945 Å and the angles 90.00°, 90.00° and 120.00°. Symmetry generates all atoms from Ge at (0.0000, 0.0000, 0.0000), Ge at (0.0000, 0.0000, 0.3992), Bi at (0.0000, 0.0000, 0.2091), Bi at (0.0000, 0.0000, 0.8021), Te at (0.0000, 0.0000, 0.1036), Te at (0.0000, 0.0000, 0.3090), Te at (0.0000, 0.0000, 0.5049), Te at (0.0000, 0.0000, 0.7079) and Te at (0.0000, 0.0000, 0.9068).

Table of DFT total energy (hartree per atom), in record order: -0.247, -0.160, -0.221, -0.222, -0.224, -0.225, -0.210, -0.264, -0.203, -0.139